[1]
! PBE-GGA Na2EuCO3F3, relaxed; values from VASP
&SYSTEM
  ibrav = 0, nat = 80, ntyp = 5
/
ATOMIC_SPECIES
Na 22.99 Na.upf
Eu 151.96 Eu.upf
C 12.01 C.upf
O 16.00 O.upf
F 19.00 F.upf
CELL_PARAMETERS angstrom
6.717 0.000 0.000
0.000 11.001 0.000
0.000 0.000 14.387
ATOMIC_POSITIONS crystal
Na 0.055 0.008 0.104
Na 0.055 0.492 0.604
Na 0.246 0.720 0.757
Na 0.246 0.780 0.257
Na 0.254 0.220 0.757
Na 0.254 0.280 0.257
Na 0.445 0.508 0.104
Na 0.445 0.992 0.604
Na 0.555 0.008 0.396
Na 0.555 0.492 0.896
Na 0.746 0.720 0.743
Na 0.746 0.780 0.243
Na 0.754 0.220 0.743
Na 0.754 0.280 0.243
Na 0.945 0.508 0.396
Na 0.945 0.992 0.896
Eu 0.003 0.186 0.487
Eu 0.003 0.314 0.987
Eu 0.497 0.686 0.487
Eu 0.497 0.814 0.987
Eu 0.503 0.186 0.013
Eu 0.503 0.314 0.513
Eu 0.997 0.686 0.013
Eu 0.997 0.814 0.513
C 0.000 0.016 0.322
C 0.000 0.484 0.822
C 0.000 0.516 0.178
C 0.000 0.984 0.678
C 0.500 0.016 0.178
C 0.500 0.484 0.678
C 0.500 0.516 0.322
C 0.500 0.984 0.822
O 0.007 0.563 0.757
O 0.007 0.937 0.257
O 0.055 0.127 0.310
O 0.055 0.373 0.810
O 0.068 0.013 0.596
O 0.068 0.487 0.096
O 0.432 0.513 0.596
O 0.432 0.987 0.096
O 0.445 0.627 0.310
O 0.445 0.873 0.810
O 0.493 0.063 0.757
O 0.493 0.437 0.257
O 0.507 0.563 0.743
O 0.507 0.937 0.243
O 0.555 0.127 0.190
O 0.555 0.373 0.690
O 0.568 0.013 0.904
O 0.568 0.487 0.404
O 0.932 0.513 0.904
O 0.932 0.987 0.404
O 0.945 0.627 0.190
O 0.945 0.873 0.690
O 0.993 0.063 0.743
O 0.993 0.437 0.243
F 0.152 0.620 0.482
F 0.152 0.880 0.982
F 0.197 0.217 0.105
F 0.197 0.283 0.605
F 0.208 0.163 0.915
F 0.208 0.337 0.415
F 0.292 0.663 0.915
F 0.292 0.837 0.415
F 0.303 0.717 0.105
F 0.303 0.783 0.605
F 0.348 0.120 0.482
F 0.348 0.380 0.982
F 0.652 0.620 0.018
F 0.652 0.880 0.518
F 0.697 0.217 0.395
F 0.697 0.283 0.895
F 0.708 0.163 0.585
F 0.708 0.337 0.085
F 0.792 0.663 0.585
F 0.792 0.837 0.085
F 0.803 0.717 0.395
F 0.803 0.783 0.895
F 0.848 0.120 0.018
F 0.848 0.380 0.518
! - Formation energy: -2.843 eV per atom
! - M_tot: 48.00 μB per cell
! - E (MP2020): -569.2 eV per cell
! - Space group: Pbca, No. 61

[2]
! PBE-GGA EuH6CI3N, relaxed; values from VASP
&SYSTEM
  ibrav = 0, nat = 48, ntyp = 5
/
ATOMIC_SPECIES
Eu 151.96 Eu.upf
H 1.01 H.upf
C 12.01 C.upf
I 126.90 I.upf
N 14.01 N.upf
CELL_PARAMETERS angstrom
6.343 -6.338 0.000
6.343 6.338 0.000
-0.117 0.000 13.279
ATOMIC_POSITIONS crystal
Eu 0.004 0.996 0.500
Eu 0.500 0.517 0.999
Eu 0.517 0.500 0.499
Eu 0.996 0.004 0.000
H 0.002 0.502 0.158
H 0.003 0.522 0.658
H 0.009 0.630 0.262
H 0.077 0.303 0.274
H 0.083 0.424 0.370
H 0.133 0.507 0.761
H 0.204 0.439 0.276
H 0.303 0.077 0.774
H 0.314 0.940 0.269
H 0.424 0.083 0.870
H 0.429 0.927 0.367
H 0.439 0.204 0.776
H 0.442 0.805 0.273
H 0.484 0.873 0.760
H 0.502 0.002 0.658
H 0.507 0.133 0.261
H 0.522 0.003 0.158
H 0.630 0.009 0.762
H 0.644 0.988 0.264
H 0.805 0.442 0.773
H 0.873 0.484 0.260
H 0.927 0.429 0.867
H 0.940 0.314 0.769
H 0.988 0.644 0.764
C 0.017 0.532 0.739
C 0.515 0.987 0.739
C 0.532 0.017 0.239
C 0.987 0.515 0.239
I 0.011 0.020 0.749
I 0.020 0.011 0.249
I 0.190 0.318 0.994
I 0.208 0.694 0.490
I 0.317 0.831 0.999
I 0.318 0.190 0.494
I 0.492 0.510 0.247
I 0.510 0.492 0.747
I 0.694 0.208 0.990
I 0.697 0.811 0.491
I 0.811 0.697 0.991
I 0.831 0.317 0.499
N 0.094 0.414 0.293
N 0.414 0.094 0.793
N 0.423 0.916 0.290
N 0.916 0.423 0.790
! - Formation energy: -0.683 eV per atom
! - M_tot: 28.00 μB per cell
! - E (MP2020): -243.8 eV per cell
! - Space group: Cc, No. 9

[3]
! PBE-GGA EuH9C5N2O8, relaxed; values from VASP
&SYSTEM
  ibrav = 0, nat = 25, ntyp = 5
/
ATOMIC_SPECIES
Eu 151.96 Eu.upf
H 1.01 H.upf
C 12.01 C.upf
N 14.01 N.upf
O 16.00 O.upf
CELL_PARAMETERS angstrom
5.857 -3.741 0.000
5.857 3.741 0.000
-2.183 0.000 6.502
ATOMIC_POSITIONS crystal
Eu 0.000 0.000 0.000
H 0.080 0.920 0.500
H 0.203 0.355 0.422
H 0.439 0.527 0.813
H 0.469 0.150 0.120
H 0.473 0.561 0.187
H 0.479 0.262 0.537
H 0.645 0.797 0.578
H 0.738 0.521 0.463
H 0.850 0.531 0.880
C 0.291 0.528 0.702
C 0.472 0.709 0.298
C 0.474 0.050 0.964
C 0.931 0.069 0.500
C 0.950 0.526 0.036
N 0.325 0.369 0.541
N 0.631 0.675 0.459
O 0.014 0.679 0.121
O 0.110 0.670 0.732
O 0.321 0.986 0.879
O 0.330 0.890 0.268
O 0.635 0.009 0.882
O 0.846 0.139 0.661
O 0.861 0.154 0.339
O 0.991 0.365 0.118
! - Formation energy: -1.140 eV per atom
! - M_tot: 6.00 μB per cell
! - E (MP2020): -171.7 eV per cell
! - Space group: C2, No. 5

[4]
! PBE-GGA EuH3CSO7, relaxed; values from VASP
&SYSTEM
  ibrav = 0, nat = 52, ntyp = 5
/
ATOMIC_SPECIES
Eu 151.96 Eu.upf
H 1.01 H.upf
C 12.01 C.upf
S 32.06 S.upf
O 16.00 O.upf
CELL_PARAMETERS angstrom
7.087 0.000 0.000
0.000 7.087 0.000
0.000 0.000 12.049
ATOMIC_POSITIONS crystal
Eu 0.115 0.629 0.000
Eu 0.371 0.115 0.250
Eu 0.629 0.885 0.750
Eu 0.885 0.371 0.500
H 0.087 0.131 0.948
H 0.131 0.913 0.698
H 0.173 0.412 0.784
H 0.383 0.468 0.816
H 0.412 0.827 0.534
H 0.468 0.617 0.566
H 0.532 0.383 0.066
H 0.588 0.173 0.034
H 0.617 0.532 0.316
H 0.827 0.588 0.284
H 0.869 0.087 0.198
H 0.913 0.869 0.448
C 0.129 0.863 0.784
C 0.137 0.129 0.034
C 0.863 0.871 0.534
C 0.871 0.137 0.284
S 0.225 0.610 0.302
S 0.390 0.225 0.552
S 0.610 0.775 0.052
S 0.775 0.390 0.802
O 0.030 0.170 0.331
O 0.101 0.618 0.204
O 0.109 0.570 0.402
O 0.163 0.284 0.085
O 0.170 0.970 0.081
O 0.207 0.320 0.570
O 0.258 0.436 0.847
O 0.284 0.837 0.835
O 0.320 0.793 0.320
O 0.370 0.458 0.289
O 0.382 0.101 0.454
O 0.430 0.109 0.652
O 0.436 0.742 0.597
O 0.458 0.630 0.039
O 0.542 0.370 0.539
O 0.564 0.258 0.097
O 0.570 0.891 0.152
O 0.618 0.899 0.954
O 0.630 0.542 0.789
O 0.680 0.207 0.820
O 0.716 0.163 0.335
O 0.742 0.564 0.347
O 0.793 0.680 0.070
O 0.830 0.030 0.581
O 0.837 0.716 0.585
O 0.891 0.430 0.902
O 0.899 0.382 0.704
O 0.970 0.830 0.831
! - Formation energy: -1.868 eV per atom
! - M_tot: 24.01 μB per cell
! - E (MP2020): -370.9 eV per cell
! - Space group: P4_1, No. 76

- What is the M_tot in the first record?
  48.00 μB per cell